# PBE+U Li2Mn2Si3O10, optimized geometry
data_Li2Mn2Si3O10
_symmetry_space_group_name_H-M 'C 1 c 1'
_symmetry_Int_Tables_number 9
_cell_length_a 9.4987
_cell_length_b 5.6003
_cell_length_c 16.2017
_cell_angle_alpha 90.00
_cell_angle_beta 94.99
_cell_angle_gamma 90.00
loop_
_symmetry_equiv_pos_as_xyz
'x,y,z'
'x,-y,z+1/2'
'x+1/2,y+1/2,z'
'x+1/2,-y+1/2,z+1/2'
loop_
_atom_site_label
_atom_site_fract_x
_atom_site_fract_y
_atom_site_fract_z
Li1 0.0000 0.1022 0.0000
Li2 0.0665 0.3952 0.2236
Mn1 0.2178 0.1024 0.6971
Mn2 0.3975 0.1176 0.3546
Si1 0.2264 0.3880 0.8722
Si2 0.3093 0.1144 0.0245
Si3 0.3870 0.4106 0.1752
O1 0.0278 0.0627 0.2037
O2 0.0849 0.4730 0.3380
O3 0.1938 0.2591 0.9611
O4 0.2097 0.0284 0.5836
O5 0.2384 0.4465 0.6801
O6 0.2576 0.1507 0.8149
O7 0.3679 0.4478 0.3846
O8 0.3775 0.1580 0.2297
O9 0.4050 0.3206 0.0778
O10 0.4085 0.0548 0.4720
# calculated total energy: -7.27 eV/atom
# calculated volume: 858.6 Å³/cell